MgV12Zn6O24 after structural relaxation. Source: the Materials Project, functional PBE+U.

Cell and atoms, written as POSCAR:
```
MgV12Zn6O24
1.0
6.0560 0.0000 0.0000
2.9712 5.2790 0.0000
0.0685 0.5685 15.1696
Mg V Zn O
1 12 6 24
Cartesian
0.0000 0.0000 0.0000
1.6136 3.2898 14.8347
1.5634 1.7411 4.9122
3.0590 4.3545 4.8233
4.5528 5.1794 9.8440
4.5811 3.3225 14.8620
3.1081 0.6981 14.8464
6.1087 4.3726 2.8716
4.5941 1.7376 4.9181
6.0513 4.3300 12.4502
7.5342 5.1833 9.8339
6.0870 2.5847 9.8212
6.1206 0.8152 7.3744
3.0719 2.5749 8.0087
3.0420 2.5595 11.7175
3.1412 2.3597 2.3164
6.0805 4.3543 6.7321
6.0921 1.5918 2.0515
6.1683 0.8251 12.6889
3.0167 4.4563 8.6679
1.4600 1.5642 8.6250
2.9318 3.5342 0.8493
1.5500 1.0145 0.8938
4.4446 5.3350 6.0351
3.0867 2.6178 5.9436
4.5420 5.1561 13.7440
3.0316 2.4311 13.7162
4.5184 3.4648 3.6677
3.1197 0.9212 3.6991
4.6649 3.5410 11.0328
3.0858 0.6632 10.9962
6.0590 4.2832 8.7272
4.7176 1.5982 8.6077
4.5131 0.9899 0.9780
6.0793 3.5436 1.0825
6.0742 2.4502 6.0789
7.7469 5.2625 6.0531
7.6035 5.0994 13.7818
6.1711 2.5268 13.7255
7.4290 3.5020 11.0426
6.0925 0.8907 3.8427
7.6332 3.3928 3.6941
6.0815 0.8309 10.8236
```

Total DFT energy (no corrections) = -297.29 eV for the cell shown
Theoretical density = 4.8 Mg/m³
Calculated formation energy = -2.2619 eV per atom
Relative energy among the computed polymorphs = 49 kJ/mol of formula units